1.
The following is a DFT calculation (PBE) of a relaxed TaTiO4 crystal.

a b c (Å): 6.751 6.751 6.086
angles (deg): 90.00 90.00 90.00
Space group I4_1md (No. 109)
Inequivalent atoms, fractional coordinates:
1 Ta 0.000 0.000 0.000 (multiplicity 4)
2 Ti 0.000 0.000 0.490 (multiplicity 4)
3 O 0.000 0.301 0.489 (multiplicity 8)
4 O 0.000 0.301 0.998 (multiplicity 8)

Computed properties:
crystal system = tetragonal

***

2.
The following is a DFT calculation (PBE) of a relaxed Ta2TiO6 crystal.

a b c (Å): 9.087 6.862 7.430
angles (deg): 90.00 114.74 90.00
Space group C2/m (No. 12)
Inequivalent atoms, fractional coordinates:
1 Ta 0.000 0.000 0.000 (multiplicity 2)
2 Ta 0.000 0.000 0.500 (multiplicity 2)
3 Ta 0.179 0.500 0.179 (multiplicity 4)
4 Ti 0.153 0.500 0.653 (multiplicity 4)
5 O 0.000 0.300 0.000 (multiplicity 4)
6 O 0.068 0.500 0.359 (multiplicity 4)
7 O 0.095 0.000 0.297 (multiplicity 4)
8 O 0.171 0.211 0.671 (multiplicity 8)
9 O 0.229 0.000 0.030 (multiplicity 4)

Computed properties:
crystal system = monoclinic
offset from the most stable computed form = 0 meV/atom

***

3.
The following is a DFT calculation (PBE) of a relaxed TaTiTlO5 crystal.

a b c (Å): 6.544 3.823 19.161
angles (deg): 90.00 90.00 90.00
Space group Pnma (No. 62)
Inequivalent atoms, fractional coordinates:
1 Ta 0.225 0.250 0.106 (multiplicity 4)
2 Ti 0.181 0.250 0.465 (multiplicity 4)
3 Tl 0.229 0.250 0.800 (multiplicity 4)
4 O 0.031 0.250 0.383 (multiplicity 4)
5 O 0.066 0.750 0.929 (multiplicity 4)
6 O 0.147 0.750 0.491 (multiplicity 4)
7 O 0.167 0.250 0.199 (multiplicity 4)
8 O 0.237 0.750 0.078 (multiplicity 4)

Computed properties:
crystal system = orthorhombic
spin magnetization = 0.000 μB/atom

***

4.
The following is a DFT calculation (PBE) of a relaxed Ta2TiZn2O8 crystal.

a b c (Å): 19.410 5.929 5.305
angles (deg): 90.00 90.17 90.00
Space group C2/c (No. 15)
Inequivalent atoms, fractional coordinates:
1 Ta 0.115 0.149 0.267 (multiplicity 8)
2 Ti 0.000 0.370 0.750 (multiplicity 4)
3 Zn 0.218 0.348 0.774 (multiplicity 8)
4 O 0.058 0.376 0.408 (multiplicity 8)
5 O 0.068 0.128 0.925 (multiplicity 8)
6 O 0.176 0.104 0.574 (multiplicity 8)
7 O 0.194 0.347 0.145 (multiplicity 8)

Computed properties:
crystal system = monoclinic
spin magnetization = 0.154 μB/atom

***

Number 1: MP2020-corrected energy -9.908 eV per atom, energy of formation -3317 meV per atom. Number 2: MP2020-corrected energy -10.046 eV per atom, energy of formation -3235 meV per atom. Number 3: MP2020-corrected energy -8.851 eV per atom, energy of formation -2994 meV per atom. Number 4: MP2020-corrected energy -8.410 eV per atom, energy of formation -2740 meV per atom.